First-principles (r²SCAN) data for a relaxed structure of Ho4Si3Ge, as listed in the Materials Project database.

Values from the calculation:
Space-group type ... Pmm2 (25)
Total magnetization ... 0.00 Bohr magnetons per cell
Formation energy ... -907.1 meV/atom

The structure in extended XYZ format:
```
8
Lattice="-0.206 2.185 -3.147 -4.104 -1.000 -0.426 -2.630 8.276 5.919" Properties=species:S:1:pos:R:3 pbc="T T T"
Ge -1.103 3.472 2.483
Si -4.481 7.143 5.254
Si -2.357 1.230 -1.331
Si -1.631 5.900 1.865
Ho -3.099 3.565 0.339
Ho -3.738 4.808 3.583
Ho -0.364 1.145 0.819
Ho -2.365 8.210 3.518
```

First-principles (r²SCAN) data for a relaxed structure of Sr5V3O13, as listed in the Materials Project database.

Values from the calculation:
Space-group type ... P6_3 (173)
Total magnetization ... 2.00 Bohr magnetons per cell
Formation energy ... -3010.2 meV/atom

The structure in extended XYZ format:
```
42
Lattice="3.872 9.256 -1.016 -4.603 -4.425 -7.806 -6.483 2.948 2.152" Properties=species:S:1:pos:R:3 pbc="T T T"
O -7.299 2.084 -5.595
O -6.631 3.520 -0.913
O -5.789 3.893 -3.526
O -4.433 5.255 -1.389
O -1.403 3.877 -3.152
O -9.124 0.271 -3.971
O -7.641 4.828 -5.750
O -2.718 2.496 -5.302
O -3.967 7.658 -3.278
O -0.392 6.721 -4.001
O -5.267 3.711 -6.512
O -2.950 7.765 -0.360
O -1.551 0.706 0.515
O 0.499 2.956 -0.970
O -4.201 -0.014 -6.331
O -3.183 0.093 -3.413
O -4.793 2.180 1.591
O 0.106 5.686 -1.082
O -4.265 2.435 -1.745
O -6.801 1.048 -2.677
O -2.900 5.313 -4.989
O -6.721 -0.775 -4.748
O -1.889 4.005 -0.152
O -0.407 8.562 -1.930
O -0.503 4.232 -5.737
O 1.953 7.442 -2.735
V -1.904 3.934 -4.802
V 0.464 8.053 -3.312
V -6.960 3.480 -6.552
V -7.624 -0.298 -3.376
V -5.256 3.821 -1.886
V -0.200 4.276 -0.136
Sr -4.989 1.596 -4.477
Sr -5.405 7.630 -1.138
Sr -8.249 3.078 -3.395
Sr -5.342 5.886 -4.969
Sr -1.820 1.870 -1.719
Sr -3.891 4.525 1.268
Sr -3.271 3.231 -7.956
Sr -2.182 6.164 -2.208
Sr -5.027 -2.519 -5.366
Sr -2.135 10.275 -1.321
```

First-principles (r²SCAN) data for a relaxed structure of Mg3Ir, as listed in the Materials Project database.

Values from the calculation:
Space-group type ... P6_3/mmc (194)
Total magnetization ... 0.00 Bohr magnetons per cell
Formation energy ... -342.6 meV/atom

The structure in extended XYZ format:
```
8
Lattice="4.543 0.000 0.000 -2.271 3.934 0.000 0.000 0.000 8.182" Properties=species:S:1:pos:R:3 pbc="T T T"
Mg 0.000 0.000 6.136
Mg 2.271 1.311 3.452
Mg 0.000 2.623 7.543
Mg 0.000 2.623 4.730
Mg 0.000 0.000 2.045
Mg 2.271 1.311 0.639
Ir 2.271 1.311 6.136
Ir 0.000 2.623 2.045
```

First-principles (r²SCAN) data for a relaxed structure of Sr3P14, as listed in the Materials Project database.

Values from the calculation:
Space-group type ... P2_1/c (14)
Total magnetization ... 0.00 Bohr magnetons per cell
Formation energy ... -543.2 meV/atom

The structure in extended XYZ format:
```
34
Lattice="-3.193 2.417 4.952 -6.318 -7.650 -0.296 7.527 -6.528 8.038" Properties=species:S:1:pos:R:3 pbc="T T T"
P 3.708 -3.980 7.094
P -3.802 -5.967 7.832
P -4.282 -4.887 4.663
P -5.404 -5.741 6.339
P -2.808 -9.186 9.986
P 0.824 -2.575 2.709
P 0.031 -10.985 10.361
P 2.298 -6.873 8.032
P 0.684 -5.447 8.145
P 0.432 -4.666 6.065
P -2.415 -7.095 6.630
P 0.055 -7.552 10.600
P 0.658 -11.813 7.163
P -0.608 -10.505 12.361
P -4.593 -1.053 5.138
P 3.420 -6.020 6.356
P 1.818 -5.794 4.863
P -2.015 -0.776 2.334
P -5.691 -7.781 5.601
P -2.642 0.052 5.532
P -3.642 -8.267 5.199
P -2.668 -6.314 4.549
P -1.376 -1.256 0.333
P -1.271 -2.584 3.346
P 2.610 -10.708 7.557
P 1.658 -3.494 7.495
P -0.712 -9.177 9.349
P -2.038 -4.208 2.095
Sr 0.457 -8.509 6.056
Sr 3.764 -3.264 4.019
Sr -5.404 -7.071 2.518
Sr -4.755 -2.617 2.328
Sr 3.421 -4.690 10.176
Sr -2.441 -3.252 6.638
```

First-principles (r²SCAN) data for a relaxed structure of Re2SbO6, as listed in the Materials Project database.

Values from the calculation:
Space-group type ... C2/c (15)
Total magnetization ... 0.00 Bohr magnetons per cell
Formation energy ... -1582.1 meV/atom

The structure in extended XYZ format:
```
18
Lattice="2.479 8.044 0.029 -2.479 8.044 0.029 0.000 0.143 5.503" Properties=species:S:1:pos:R:3 pbc="T T T"
O 0.144 13.924 3.428
O 0.436 6.998 2.373
O 0.436 9.162 0.436
O -0.116 11.554 1.844
O 0.144 2.379 4.885
O -0.436 7.070 5.125
O -0.144 13.853 0.676
O -0.144 2.307 2.133
O -0.116 4.606 0.966
O 0.116 4.678 3.717
O -0.436 9.233 3.188
O 0.116 11.625 4.595
Sb -0.970 8.080 1.405
Sb 0.970 8.152 4.156
Re -1.324 11.048 3.393
Re 1.324 10.976 0.641
Re 1.324 5.184 2.168
Re -1.324 5.255 4.920
```

First-principles (r²SCAN) data for a relaxed structure of DyThN2, as listed in the Materials Project database.

Values from the calculation:
Space-group type ... R-3m (166)
Total magnetization ... 0.00 Bohr magnetons per cell
Formation energy ... -1869.8 meV/atom

The structure in extended XYZ format:
```
4
Lattice="5.887 -1.785 -0.002 5.887 1.785 -0.002 5.346 0.000 3.042" Properties=species:S:1:pos:R:3 pbc="T T T"
N 4.314 0.000 0.766
N 12.805 0.000 2.273
Dy 0.000 0.000 0.000
Th 8.560 0.000 1.519
```

First-principles (r²SCAN) data for a relaxed structure of LiLuGe, as listed in the Materials Project database.

Values from the calculation:
Space-group type ... P-62m (189)
Total magnetization ... 0.00 Bohr magnetons per cell
Formation energy ... -793.3 meV/atom

The structure in extended XYZ format:
```
9
Lattice="3.578 1.324 -5.732 -4.234 -5.424 0.240 -3.111 2.367 -1.395" Properties=species:S:1:pos:R:3 pbc="T T T"
Li -2.541 -0.079 -0.642
Li -2.059 -1.962 -4.911
Li -0.723 1.492 -2.032
Ge -3.186 -1.991 -2.448
Ge 0.000 0.000 0.000
Ge -0.582 0.258 -4.439
Lu -0.280 -1.749 -2.343
Lu 2.051 0.759 -3.286
Lu -2.428 -3.110 0.137
```

First-principles (r²SCAN) data for a relaxed structure of Pm2W3O12, as listed in the Materials Project database.

Values from the calculation:
Space-group type ... C2/c (15)
Total magnetization ... 0.00 Bohr magnetons per cell
Formation energy ... -2833.6 meV/atom

The structure in extended XYZ format:
```
34
Lattice="5.775 3.884 0.013 -5.775 3.884 0.013 0.000 3.902 10.873" Properties=species:S:1:pos:R:3 pbc="T T T"
O 3.454 7.071 10.443
O -2.458 6.610 10.063
O 0.831 6.777 2.150
O 0.397 10.374 10.242
O 0.467 6.363 6.644
O -3.454 4.598 0.456
O -2.458 7.009 6.273
O 0.831 2.941 3.313
O -2.387 6.258 2.407
O -2.387 3.460 3.056
O -0.831 4.892 8.750
O -0.397 8.423 4.805
O 2.387 8.209 7.843
O 0.397 3.246 6.094
O -0.397 1.295 0.657
O 2.387 5.411 8.492
O -3.454 5.120 5.007
O 3.454 6.549 5.892
O -0.467 5.306 4.256
O 0.467 7.257 9.692
O 2.458 5.058 0.836
O -0.831 8.727 7.586
O -0.467 4.412 1.207
O 2.458 4.660 4.626
W 1.661 6.755 0.556
W -1.661 8.706 5.993
W -1.661 4.914 10.343
W 1.355 6.810 8.168
W 1.661 2.963 4.906
W -1.355 4.859 2.731
Pm 1.460 2.860 1.032
Pm 1.460 6.858 4.431
Pm -1.460 4.811 6.468
Pm -1.460 8.809 9.867
```

Question: The lowest formation energy belongs to which entry?
Answer: Sr5V3O13

Question: Look up the formation energy of the first one.
Answer: -907.1 meV/atom

Question: What is the formula in the seventh record?
Answer: LiLuGe